# 1
DFT (PBE+U) results for an optimized crystal structure of Ba2Co9O14.

a = 10.270 Å, b = 10.270 Å, c = 10.270 Å
α = 32.52°, β = 32.52°, γ = 32.52°
Atoms (fractional coordinates):
Co 0.500 0.500 0.500
Co 0.500 0.000 0.500
Co 0.000 0.000 0.000
Co 0.000 0.500 0.500
Co 0.500 0.500 0.000
Co 0.767 0.767 0.767
Co 0.413 0.413 0.413
Co 0.587 0.587 0.587
Co 0.233 0.233 0.233
O 0.604 0.159 0.604
O 0.300 0.300 0.300
O 0.700 0.700 0.700
O 0.841 0.396 0.396
O 0.322 0.783 0.783
O 0.783 0.783 0.322
O 0.396 0.396 0.841
O 0.217 0.678 0.217
O 0.783 0.322 0.783
O 0.396 0.841 0.396
O 0.678 0.217 0.217
O 0.604 0.604 0.159
O 0.159 0.604 0.604
O 0.217 0.217 0.678
Ba 0.116 0.116 0.116
Ba 0.884 0.884 0.884

Computed properties:
Mass density in g/cm3: 6.14
Volume in Å³/atom: 11.13
Formation energy in meV/atom: -1506

---

# 2
DFT (PBE+U) results for an optimized crystal structure of Ba5Co5O14.

a = 5.730 Å, b = 5.730 Å, c = 11.957 Å
α = 90.00°, β = 90.00°, γ = 120.00°
Atoms (fractional coordinates):
O 0.838 0.675 0.803
O 0.333 0.667 0.995
O 0.147 0.853 0.602
O 0.853 0.147 0.398
O 0.706 0.853 0.602
O 0.147 0.294 0.602
O 0.162 0.838 0.197
O 0.667 0.333 0.005
O 0.675 0.838 0.197
O 0.162 0.325 0.197
O 0.294 0.147 0.398
O 0.325 0.162 0.803
O 0.853 0.706 0.398
O 0.838 0.162 0.803
Ba 0.667 0.333 0.581
Ba 0.333 0.667 0.773
Ba 0.333 0.667 0.419
Ba 0.000 0.000 0.000
Ba 0.667 0.333 0.227
Co 0.000 0.000 0.706
Co 0.000 0.000 0.294
Co 0.667 0.333 0.859
Co 0.333 0.667 0.141
Co 0.000 0.000 0.500

Computed properties:
Mass density in g/cm3: 5.89
Volume in Å³/atom: 14.17
Formation energy in meV/atom: -2059